## Bi3PbWClO8 (GGA+U)

Data for a relaxed structure of Bi3PbWClO8.

As for the calculated density: 8.67 Mg/m³. The calculation puts the energy relative to the elements at -170.3 kJ per mole of atoms. As for the total energy: -84.546 eV/f.u. The calculation puts the magnetic moment at 0.00 μB/cell.

It has space group P4mm (No. 99), with a = 3.894 Å, b = 3.894 Å, c = 14.914 Å, α = 90.00°, β = 90.00° and γ = 90.00°. Symmetry generates all atoms from Bi at (0.000, 0.000, 0.000), Bi at (0.000, 0.000, 0.273), Bi at (0.500, 0.500, 0.829), Pb at (0.500, 0.500, 0.445), W at (0.000, 0.000, 0.643), Cl at (0.500, 0.500, 0.124), O at (0.000, 0.000, 0.519), O at (0.000, 0.000, 0.779), O at (0.000, 0.500, 0.345), O at (0.000, 0.500, 0.651) and O at (0.000, 0.500, 0.922).